Density functional theory data (PBE) for a relaxed Er2Ga8Co crystal.

Properties
Calculated formation energy: -5.270 eV/f.u.
E_tot: -4.158 eV per atom
SG: P4/mmm (123)

The structure in POSCAR format:
```
Er2Ga8Co
1.0
4.246 0.000 0.000
0.000 4.246 0.000
0.000 0.000 11.018
Er Ga Co
2 8 1
Cartesian
0.000 0.000 2.145
0.000 0.000 8.873
0.000 2.123 0.000
0.000 2.123 4.225
0.000 2.123 6.793
2.123 0.000 0.000
2.123 0.000 4.225
2.123 0.000 6.793
2.123 2.123 2.183
2.123 2.123 8.835
0.000 0.000 5.509
```